# Na18Nb4Zn8Si9S9O72

Crystalline Na18Nb4Zn8Si9S9O72 at its relaxed geometry (GGA-PBE, Materials Project).

a = 9.0654 Å, b = 9.1016 Å, c = 22.3629 Å
α = 90.10°, β = 90.68°, γ = 119.75°
Last column: nearest neighbours and their distance in Å.
Element x y z (fractional)
Na: 0.0000 0.0000 0.0000  6 O 2.40-2.67
Na: 0.0019 0.6316 0.2600  3 O 2.31-2.56
Na: 0.0052 0.2525 0.4973  3 O 2.31-2.52
Na: 0.0139 0.9137 0.3345  4 O 2.37-2.59
Na: 0.0190 0.6344 0.7515  5 O 2.46-2.63
Na: 0.0283 0.3164 0.8425  3 O 2.32-2.60
Na: 0.2976 0.9185 0.8277  5 O 2.44-2.72
Na: 0.3137 0.6042 0.3451  4 O 2.34-2.62
Na: 0.3186 0.2867 0.9193  2 O 2.33-2.58
Na: 0.3535 0.2955 0.4286  2 O 2.24-2.34
Na: 0.3652 0.6106 0.9905  4 O 2.34-2.61
Na: 0.3937 0.9970 0.5020  6 O 2.37-2.65
Na: 0.6275 0.6091 0.4932  5 O 2.42-2.54
Na: 0.6396 0.2392 0.9994  3 O 2.31-2.53
Na: 0.6510 0.9518 0.5867  3 O 2.34-2.46
Na: 0.6812 0.6080 0.8312  4 O 2.45-2.73
Na: 0.6829 0.3170 0.3494  2 O 2.26-2.34
Na: 0.6935 0.9624 0.0913  2 O 2.23-2.50
Nb: 0.9998 0.6100 0.1079  6 O 1.92-2.14
Nb: 0.0167 0.6179 0.6021  3 O 1.84-2.00
Nb: 0.3263 0.2721 0.7663  4 O 1.89-2.03
Nb: 0.3338 0.2691 0.2696  4 O 1.86-2.04
Zn: 0.0030 0.6133 0.4028  4 O 1.97-2.12
Zn: 0.0226 0.6207 0.8967  4 O 1.96-2.12
Zn: 0.2991 0.2726 0.0723  3 O 1.89-2.03
Zn: 0.3614 0.2844 0.5653  4 O 1.94-2.08
Zn: 0.6278 0.9254 0.4362  3 O 1.97-2.08
Zn: 0.6474 0.9224 0.7328  3 O 1.92-2.01
Zn: 0.6712 0.9278 0.2375  3 O 1.90-2.06
Zn: 0.6876 0.9454 0.9218  2 O 1.95-1.99
Si: 0.0011 0.3195 0.9974  4 O 1.61-1.72
Si: 0.0259 0.9844 0.1626  4 O 1.59-1.72
Si: 0.2994 0.6062 0.4976  4 O 1.61-1.73
Si: 0.3460 0.9857 0.6613  4 O 1.60-1.74
Si: 0.3767 0.6531 0.8356  4 O 1.59-1.71
Si: 0.3823 0.9428 0.3315  4 O 1.60-1.75
Si: 0.6744 0.6535 0.3349  4 O 1.60-1.73
Si: 0.7125 0.3190 0.4972  4 O 1.61-1.72
Si: 0.9610 0.9454 0.8337  4 O 1.60-1.73
S: 0.0035 0.9073 0.5001  4 O 1.47-1.52
S: 0.0405 0.2824 0.6640  4 O 1.45-1.56
S: 0.2959 0.9084 0.0024  4 O 1.48-1.52
S: 0.3373 0.5770 0.1638  4 O 1.45-1.55
S: 0.6269 0.2832 0.1633  4 O 1.45-1.56
S: 0.6349 0.5748 0.6661  4 O 1.46-1.53
S: 0.6650 0.2435 0.8334  4 O 1.45-1.53
S: 0.7096 0.6100 0.0015  4 O 1.47-1.53
S: 0.9679 0.2409 0.3307  4 O 1.45-1.57
O: 0.0208 0.7929 0.1585  1 Si 1.72
O: 0.0244 0.4340 0.9394  1 Si 1.61
O: 0.0301 0.8353 0.4447  1 S 1.48
O: 0.0330 0.4455 0.6648  1 S 1.52
O: 0.1109 0.0729 0.1004  1 Si 1.61
O: 0.1242 0.2693 0.6112  1 S 1.45
O: 0.1498 0.2641 0.3229  1 S 1.57
O: 0.1515 0.0790 0.5070  1 S 1.48
O: 0.1546 0.3071 0.7201  1 S 1.56
O: 0.1601 0.1185 0.8216  1 Si 1.73, 1 Nb 1.93
O: 0.1616 0.7978 0.6619  1 Si 1.70
O: 0.1629 0.0903 0.2193  1 Si 1.69
O: 0.1711 0.5858 0.1604  1 S 1.55
O: 0.1774 0.3086 0.0025  1 Si 1.65
O: 0.1787 0.6100 0.8367  1 Si 1.64
O: 0.1872 0.5799 0.4379  1 Si 1.61
O: 0.1882 0.7874 0.3363  1 Si 1.63
O: 0.1903 0.6323 0.5560  1 Si 1.73, 1 Nb 1.84
O: 0.1948 0.8386 0.9466  1 S 1.48
O: 0.1970 0.7968 0.0544  1 S 1.52
O: 0.3084 0.4343 0.5086  1 Si 1.63
O: 0.3131 0.4700 0.2166  1 S 1.48
O: 0.3213 0.0952 0.7204  1 Si 1.74, 1 Nb 1.89
O: 0.3266 0.0840 0.0086  1 S 1.49
O: 0.3487 0.0865 0.6026  1 Si 1.60
O: 0.3539 0.4989 0.1082  1 S 1.48
O: 0.3573 0.1196 0.3200  1 Si 1.75, 1 Nb 1.86
O: 0.3656 0.4622 0.8237  1 Si 1.71
O: 0.4584 0.7870 0.7833  1 Si 1.59
O: 0.4605 0.9111 0.0021  1 S 1.48
O: 0.4738 0.9213 0.2741  1 Si 1.60
O: 0.4772 0.7494 0.1685  1 S 1.45
O: 0.4805 0.7804 0.5039  1 Si 1.62
O: 0.4911 0.7213 0.8985  1 Si 1.66
O: 0.4944 0.4619 0.3184  1 Si 1.73
O: 0.4949 0.0096 0.3930  1 Si 1.63
O: 0.5054 0.2599 0.8258  1 S 1.53
O: 0.5107 0.9665 0.6716  1 Si 1.60
O: 0.5231 0.2962 0.5025  1 Si 1.63
O: 0.5330 0.2760 0.1084  1 S 1.47
O: 0.5363 0.4966 0.6112  1 S 1.47
O: 0.5425 0.4548 0.0089  1 S 1.48
O: 0.5425 0.4682 0.7204  1 S 1.53
O: 0.5455 0.3094 0.2172  1 S 1.50
O: 0.6178 0.7156 0.3949  1 Si 1.64
O: 0.6302 0.1435 0.8897  1 S 1.50
O: 0.6539 0.1394 0.1695  1 S 1.45
O: 0.6590 0.7455 0.6718  1 S 1.46
O: 0.6942 0.1636 0.7823  1 S 1.45
O: 0.6952 0.7647 0.0042  1 S 1.48
O: 0.7148 0.1412 0.5006  1 Si 1.63
O: 0.7249 0.7777 0.2788  1 Si 1.60
O: 0.7869 0.5930 0.9465  1 S 1.47
O: 0.7932 0.4356 0.4393  1 Si 1.61
O: 0.8037 0.4467 0.1619  1 S 1.56
O: 0.8036 0.5808 0.6661  1 S 1.50
O: 0.8073 0.4198 0.8399  1 S 1.48
O: 0.8249 0.6281 0.0549  1 S 1.53
O: 0.8265 0.1358 0.0006  1 Si 1.64
O: 0.8293 0.6111 0.3393  1 Si 1.63
O: 0.8360 0.9179 0.7787  1 Si 1.60
O: 0.8393 0.4395 0.5562  1 Si 1.72, 1 Nb 1.91
O: 0.8419 0.9623 0.1718  1 Si 1.59
O: 0.8439 0.9133 0.4997  1 S 1.47
O: 0.8634 0.1594 0.2781  1 S 1.45
O: 0.8731 0.1370 0.6735  1 S 1.45
O: 0.9103 0.1436 0.3862  1 S 1.47
O: 0.9164 0.0101 0.8961  1 Si 1.65
O: 0.9887 0.4362 0.0559  1 Si 1.72, 1 Nb 1.92
O: 0.9893 0.7963 0.5530  1 S 1.52
O: 0.9904 0.7822 0.8404  1 Si 1.64
O: 0.9973 0.4155 0.3343  1 S 1.48

Calculated values
- energy with MP2020 corrections (eV for the cell shown) = -796.25